Sc3PbC | PBE | optimized geometry

The space group is Pm-3m (No. 221) and the conventional cell measures 4.565, 4.565 and 4.565 Å, with angles of 90.00, 90.00 and 90.00 degrees. The asymmetric unit holds Sc at (0.000, 0.000, 0.500), Pb at (0.500, 0.500, 0.500) and C at (0.000, 0.000, 0.000).

The formation energy comes out at -0.677 eV/atom. As for the energy: -0.5193 Ry/atom.